(1)
DFT (PBE-GGA) results for crystalline AsXeO3F6 at its relaxed geometry.

Lattice parameters (Å, degrees): 8.9292 9.1210 9.2230 90.00 90.00 90.00
Positions (direct):
1 O 0.0006 0.2534 0.5846
2 O 0.1821 0.6223 0.0646
3 O 0.4001 0.5365 0.2862
4 O 0.3179 0.3777 0.5646
5 O 0.9994 0.7534 0.9154
6 O 0.6821 0.8777 0.9354
7 O 0.8179 0.1223 0.4354
8 O 0.5999 0.0365 0.2138
9 O 0.9001 0.9635 0.7138
10 O 0.0999 0.4635 0.7862
11 O 0.4994 0.7466 0.0846
12 O 0.5006 0.2466 0.4154
13 F 0.3666 0.8751 0.4212
14 F 0.6334 0.3751 0.0788
15 F 0.8666 0.6249 0.5788
16 F 0.8136 0.2931 0.8891
17 F 0.4570 0.4548 0.8825
18 F 0.3136 0.2069 0.1109
19 F 0.1365 0.1327 0.3049
20 F 0.5430 0.9548 0.6175
21 F 0.7249 0.5490 0.8830
22 F 0.6365 0.3673 0.6951
23 F 0.1864 0.7931 0.6109
24 F 0.0430 0.5452 0.3825
25 F 0.7751 0.4510 0.3830
26 F 0.0517 0.3086 0.1117
27 F 0.5517 0.1914 0.8883
28 F 0.2249 0.9510 0.1170
29 F 0.9483 0.8086 0.3883
30 F 0.1334 0.1249 0.9212
31 F 0.4483 0.6914 0.6117
32 F 0.8635 0.6327 0.1951
33 F 0.3635 0.8673 0.8049
34 F 0.6864 0.7069 0.3891
35 F 0.9570 0.0452 0.1175
36 F 0.2751 0.0490 0.6170
37 As 0.8674 0.6273 0.3890
38 As 0.1326 0.1273 0.1110
39 As 0.3674 0.8727 0.6110
40 As 0.6326 0.3727 0.8890
41 Xe 0.9825 0.0460 0.5480
42 Xe 0.0175 0.5460 0.9520
43 Xe 0.4825 0.4540 0.4520
44 Xe 0.5175 0.9540 0.0480

(2)
DFT (PBE-GGA) results for crystalline K2TaTlF6 at its relaxed geometry.

Lattice parameters (Å, degrees): 6.7764 6.7764 6.7764 60.00 60.00 60.00
Positions (direct):
1 Tl 0.5000 0.5000 0.5000
2 F 0.2131 0.2131 0.7869
3 F 0.7869 0.2131 0.2131
4 F 0.2131 0.7869 0.2131
5 F 0.7869 0.2131 0.7869
6 F 0.2131 0.7869 0.7869
7 F 0.7869 0.7869 0.2131
8 K 0.2500 0.2500 0.2500
9 K 0.7500 0.7500 0.7500
10 Ta 0.0000 0.0000 0.0000

Listing ΔH_f (0 K) for the structures above in their given order: -1.074, -2.674 eV per atom.